# PBE CrGa, optimized geometry
data_CrGa
_space_group_name_H-M_alt 'R -3 m'
_space_group_IT_number 166
_space_group_name_Hall '-R 3 2"'
_cell_length_a 12.7124
_cell_length_b 12.7124
_cell_length_c 7.8417
_cell_angle_alpha 90.00
_cell_angle_beta 90.00
_cell_angle_gamma 120.00
loop_
_atom_site_label
_atom_site_fract_x
_atom_site_fract_y
_atom_site_fract_z
Cr1 0.0000 0.0000 0.0000
Cr2 0.0722 0.1444 0.2509
Cr3 0.1042 0.5521 0.2500
Ga1 0.0000 0.0000 0.5000
Ga2 0.0000 0.3852 0.0000
Ga3 0.0991 0.5496 0.5925
# Final energy (Ha/atom): -0.234
# Energy of formation (meV/atom): -15